# Be3H42N13Cl3O3

A relaxed structure of Be3H42N13Cl3O3 (PBE, the Materials Project database).

Values from the calculation:
calculated total energy = -5.059 eV per atom
formation energy = -678 meV/atom
crystal system = monoclinic
space-group type = No. 14

abc: 11.9547 10.9671 21.2247
angles: 90.00 112.26 90.00
Fractional positions:
Be 0.8975 0.9967 0.1037
Be 0.8975 0.5033 0.6037
Be 0.1025 0.0033 0.8963
Be 0.1025 0.4967 0.3963
Be 0.9029 0.7874 0.0240
Be 0.9029 0.7126 0.5240
Be 0.0971 0.2126 0.9760
Be 0.0971 0.2874 0.4760
Be 0.7502 0.9904 0.9627
Be 0.7502 0.5096 0.4627
Be 0.2498 0.0096 0.0373
Be 0.2498 0.4904 0.5373
H 0.0832 0.0721 0.1918
H 0.0832 0.4279 0.6918
H 0.9168 0.9279 0.8082
H 0.9168 0.5721 0.3082
H 0.9931 0.1850 0.1497
H 0.9931 0.3150 0.6497
H 0.0069 0.8150 0.8503
H 0.0069 0.6850 0.3503
H 0.0645 0.1038 0.1126
H 0.0645 0.3962 0.6126
H 0.9355 0.8962 0.8874
H 0.9355 0.6038 0.3874
H 0.7679 0.0536 0.1630
H 0.7679 0.4464 0.6630
H 0.2321 0.9464 0.8370
H 0.2321 0.5536 0.3370
H 0.8657 0.9521 0.2075
H 0.8657 0.5479 0.7075
H 0.1343 0.0479 0.7925
H 0.1343 0.4521 0.2925
H 0.7489 0.9103 0.1390
H 0.7489 0.5897 0.6390
H 0.2511 0.0897 0.8610
H 0.2511 0.4103 0.3610
H 0.9999 0.6706 0.9642
H 0.9999 0.8294 0.4642
H 0.0001 0.3294 0.0358
H 0.0001 0.1706 0.5358
H 0.0913 0.6816 0.0458
H 0.0913 0.8184 0.5458
H 0.9087 0.3184 0.9542
H 0.9087 0.1816 0.4542
H 0.0695 0.7986 0.9942
H 0.0695 0.7014 0.4942
H 0.9305 0.2014 0.0058
H 0.9305 0.2986 0.5058
H 0.7608 0.6902 0.0586
H 0.7608 0.8098 0.5586
H 0.2392 0.3098 0.9414
H 0.2392 0.1902 0.4414
H 0.7686 0.6126 0.9953
H 0.7686 0.8874 0.4953
H 0.2314 0.3874 0.0047
H 0.2314 0.1126 0.5047
H 0.8755 0.5955 0.0716
H 0.8755 0.9045 0.5716
H 0.1245 0.4045 0.9284
H 0.1245 0.0955 0.4284
H 0.6755 0.0631 0.8496
H 0.6755 0.4369 0.3496
H 0.3245 0.9369 0.1504
H 0.3245 0.5631 0.6504
H 0.7310 0.1766 0.9039
H 0.7310 0.3234 0.4039
H 0.2690 0.8234 0.0961
H 0.2690 0.6766 0.5961
H 0.8255 0.0871 0.8883
H 0.8255 0.4129 0.3883
H 0.1745 0.9129 0.1117
H 0.1745 0.5871 0.6117
H 0.5889 0.9048 0.9866
H 0.5889 0.5952 0.4866
H 0.4111 0.0952 0.0134
H 0.4111 0.4048 0.5134
H 0.5439 0.0347 0.9443
H 0.5439 0.4653 0.4443
H 0.4561 0.9653 0.0557
H 0.4561 0.5347 0.5557
H 0.5499 0.9096 0.9037
H 0.5499 0.5904 0.4037
H 0.4501 0.0904 0.0963
H 0.4501 0.4096 0.5963
H 0.9943 0.8239 0.1351
H 0.9943 0.6761 0.6351
H 0.0057 0.1761 0.8649
H 0.0057 0.3239 0.3649
H 0.7809 0.8234 0.9152
H 0.7809 0.6766 0.4152
H 0.2191 0.1766 0.0848
H 0.2191 0.3234 0.5848
H 0.7736 0.1371 0.0400
H 0.7736 0.3629 0.5400
H 0.2264 0.8629 0.9600
H 0.2264 0.6371 0.4600
H 0.8484 0.2474 0.2674
H 0.8484 0.2526 0.7674
H 0.1516 0.7526 0.7326
H 0.1516 0.7474 0.2326
H 0.9695 0.2813 0.2523
H 0.9695 0.2187 0.7523
H 0.0305 0.7187 0.7477
H 0.0305 0.7813 0.2477
H 0.9672 0.1574 0.2970
H 0.9672 0.3426 0.7970
H 0.0328 0.8426 0.7030
H 0.0328 0.6574 0.2030
H 0.2557 0.3231 0.1697
H 0.2557 0.1769 0.6697
H 0.7443 0.6769 0.8303
H 0.7443 0.8231 0.3303
H 0.3808 0.2476 0.1772
H 0.3808 0.2524 0.6772
H 0.6192 0.7524 0.8228
H 0.6192 0.7476 0.3228
H 0.2781 0.1850 0.2019
H 0.2781 0.3150 0.7019
H 0.7219 0.8150 0.7981
H 0.7219 0.6850 0.2981
H 0.6798 0.2626 0.0915
H 0.6798 0.2374 0.5915
H 0.3202 0.7374 0.9085
H 0.3202 0.7626 0.4085
H 0.6396 0.2941 0.0099
H 0.6396 0.2059 0.5099
H 0.3604 0.7059 0.9901
H 0.3604 0.7941 0.4901
H 0.7739 0.3378 0.0657
H 0.7739 0.1622 0.5657
H 0.2261 0.6622 0.9343
H 0.2261 0.8378 0.4343
H 0.2922 0.6438 0.1713
H 0.2922 0.8562 0.6713
H 0.7078 0.3562 0.8287
H 0.7078 0.1438 0.3287
H 0.2950 0.5540 0.1096
H 0.2950 0.9460 0.6096
H 0.7050 0.4460 0.8904
H 0.7050 0.0540 0.3904
H 0.1830 0.5456 0.1368
H 0.1830 0.9544 0.6368
H 0.8170 0.4544 0.8632
H 0.8170 0.0456 0.3632
H 0.2758 0.0956 0.3169
H 0.2758 0.4044 0.8169
H 0.7242 0.9044 0.6831
H 0.7242 0.5956 0.1831
H 0.1635 0.0031 0.3077
H 0.1635 0.4969 0.8077
H 0.8365 0.9969 0.6923
H 0.8365 0.5031 0.1923
H 0.2746 0.9563 0.2875
H 0.2746 0.5437 0.7875
H 0.7254 0.0437 0.7125
H 0.7254 0.4563 0.2125
H 0.5630 0.5911 0.9749
H 0.5630 0.9089 0.4749
H 0.4370 0.4089 0.0251
H 0.4370 0.0911 0.5251
H 0.5192 0.4728 0.9243
H 0.5192 0.0272 0.4243
H 0.4808 0.5272 0.0757
H 0.4808 0.9728 0.5757
H 0.5124 0.6105 0.8927
H 0.5124 0.8895 0.3927
H 0.4876 0.3895 0.1073
H 0.4876 0.1105 0.6073
H 0.5572 0.9653 0.7437
H 0.5572 0.5347 0.2437
H 0.4428 0.0347 0.2563
H 0.4428 0.4653 0.7563
H 0.4570 0.9872 0.7773
H 0.4570 0.5128 0.2773
H 0.5430 0.0128 0.2227
H 0.5430 0.4872 0.7227
H 0.5128 0.1049 0.7482
H 0.5128 0.3951 0.2482
H 0.4872 0.8951 0.2518
H 0.4872 0.6049 0.7518
N 0.0188 0.0973 0.1448
N 0.0188 0.4027 0.6448
N 0.9812 0.9027 0.8552
N 0.9812 0.5973 0.3552
N 0.8145 0.9773 0.1585
N 0.8145 0.5227 0.6585
N 0.1855 0.0227 0.8415
N 0.1855 0.4773 0.3415
N 0.0252 0.7268 0.0060
N 0.0252 0.7732 0.5060
N 0.9748 0.2732 0.9940
N 0.9748 0.2268 0.4940
N 0.8221 0.6595 0.0382
N 0.8221 0.8405 0.5382
N 0.1779 0.3405 0.9618
N 0.1779 0.1595 0.4618
N 0.7454 0.0872 0.8954
N 0.7454 0.4128 0.3954
N 0.2546 0.9128 0.1046
N 0.2546 0.5872 0.6046
N 0.5953 0.9574 0.9478
N 0.5953 0.5426 0.4478
N 0.4047 0.0426 0.0522
N 0.4047 0.4574 0.5522
N 0.9412 0.2471 0.2886
N 0.9412 0.2529 0.7886
N 0.0588 0.7529 0.7114
N 0.0588 0.7471 0.2114
N 0.2899 0.2393 0.1657
N 0.2899 0.2607 0.6657
N 0.7101 0.7607 0.8343
N 0.7101 0.7393 0.3343
N 0.7115 0.2692 0.0527
N 0.7115 0.2308 0.5527
N 0.2885 0.7308 0.9473
N 0.2885 0.7692 0.4473
N 0.2388 0.6052 0.1256
N 0.2388 0.8948 0.6256
N 0.7612 0.3948 0.8744
N 0.7612 0.1052 0.3744
N 0.2212 0.0309 0.2849
N 0.2212 0.4691 0.7849
N 0.7788 0.9691 0.7151
N 0.7788 0.5309 0.2151
N 0.5651 0.5533 0.9310
N 0.5651 0.9467 0.4310
N 0.4349 0.4467 0.0690
N 0.4349 0.0533 0.5690
N 0.5332 0.0238 0.7738
N 0.5332 0.4762 0.2738
N 0.4668 0.9762 0.2262
N 0.4668 0.5238 0.7262
Cl 0.4030 0.2708 0.4223
Cl 0.4030 0.2292 0.9223
Cl 0.5970 0.7292 0.5777
Cl 0.5970 0.7708 0.0777
Cl 0.0039 0.4269 0.1509
Cl 0.0039 0.0731 0.6509
Cl 0.9961 0.5731 0.8491
Cl 0.9961 0.9269 0.3491
Cl 0.3804 0.7766 0.8092
Cl 0.3804 0.7234 0.3092
Cl 0.6196 0.2234 0.1908
Cl 0.6196 0.2766 0.6908
O 0.9529 0.8703 0.0912
O 0.9529 0.6297 0.5912
O 0.0471 0.1297 0.9088
O 0.0471 0.3703 0.4088
O 0.8210 0.8674 0.9598
O 0.8210 0.6326 0.4598
O 0.1790 0.1326 0.0402
O 0.1790 0.3674 0.5402
O 0.8150 0.0596 0.0336
O 0.8150 0.4404 0.5336
O 0.1850 0.9404 0.9664
O 0.1850 0.5596 0.4664

***

# LaWN3

A relaxed structure of LaWN3 (PBE, the Materials Project database).

Values from the calculation:
calculated total energy = -9.572 eV per atom
formation energy = -1208 meV/atom
crystal system = orthorhombic
space-group type = No. 38

abc: 5.8246 5.8246 3.9711
angles: 90.00 90.00 94.88
Fractional positions:
La 0.6246 0.3754 0.5000
La 0.1046 0.8954 0.5000
W 0.5935 0.8924 0.0000
W 0.1076 0.4065 0.0000
N 0.2731 0.7269 0.0000
N 0.8434 0.1566 0.0000
N 0.3488 0.2270 0.0000
N 0.7730 0.6512 0.0000
N 0.5530 0.9381 0.5000
N 0.0619 0.4470 0.5000

***

# KNbF6

A relaxed structure of KNbF6 (PBE, the Materials Project database).

Values from the calculation:
calculated total energy = -5.907 eV per atom
formation energy = -3416 meV/atom
crystal system = tetragonal
space-group type = No. 132

abc: 5.3793 5.3793 10.0892
angles: 90.00 90.00 90.00
Fractional positions:
K 0.5000 0.5000 0.2500
K 0.5000 0.5000 0.7500
Nb 0.0000 0.0000 0.5000
Nb 0.0000 0.0000 0.0000
F 0.1813 0.8187 0.3652
F 0.8187 0.1813 0.3652
F 0.8187 0.8187 0.1348
F 0.1813 0.1813 0.1348
F 0.2552 0.7448 0.0000
F 0.7448 0.7448 0.5000
F 0.2552 0.2552 0.5000
F 0.7448 0.2552 0.0000
F 0.1813 0.1813 0.8652
F 0.1813 0.8187 0.6348
F 0.8187 0.1813 0.6348
F 0.8187 0.8187 0.8652

***

# ZrAl4C4

A relaxed structure of ZrAl4C4 (PBE, the Materials Project database).

Values from the calculation:
calculated total energy = -6.967 eV per atom
formation energy = -251 meV/atom
crystal system = trigonal
space-group type = No. 164

abc: 3.3557 3.3557 22.1081
angles: 90.00 90.00 120.00
Fractional positions:
Zr 0.3333 0.6667 0.0614
Zr 0.6667 0.3333 0.9386
Al 0.3333 0.6667 0.5450
Al 0.6667 0.3333 0.4550
Al 0.0000 0.0000 0.8347
Al 0.0000 0.0000 0.1653
Al 0.0000 0.0000 0.6485
Al 0.0000 0.0000 0.3515
Al 0.3333 0.6667 0.7324
Al 0.6667 0.3333 0.2676
C 0.0000 0.0000 0.5000
C 0.0000 0.0000 0.7465
C 0.0000 0.0000 0.0000
C 0.6667 0.3333 0.3666
C 0.0000 0.0000 0.2535
C 0.6667 0.3333 0.1251
C 0.3333 0.6667 0.8749
C 0.3333 0.6667 0.6334

***

# HoSi2Ni

A relaxed structure of HoSi2Ni (PBE, the Materials Project database).

Values from the calculation:
calculated total energy = -6.134 eV per atom
formation energy = -831 meV/atom
crystal system = orthorhombic
space-group type = No. 63

abc: 3.9425 3.9601 8.4590
angles: 76.46 90.00 90.00
Fractional positions:
Ho 0.2500 0.1057 0.7887
Ho 0.7500 0.8943 0.2113
Si 0.2500 0.7493 0.5014
Si 0.7500 0.2507 0.4986
Si 0.7500 0.5399 0.9203
Si 0.2500 0.4601 0.0797
Ni 0.7500 0.6767 0.6465
Ni 0.2500 0.3233 0.3535

***

# Ba6Os2N6O

A relaxed structure of Ba6Os2N6O (PBE, the Materials Project database).

Values from the calculation:
calculated total energy = -6.682 eV per atom
formation energy = -798 meV/atom
crystal system = trigonal
space-group type = No. 148

abc: 7.4979 7.4979 7.4979
angles: 66.04 66.04 66.04
Fractional positions:
Ba 0.3339 0.1838 0.7365
Ba 0.1838 0.7365 0.3339
Ba 0.7365 0.3339 0.1838
Ba 0.6661 0.8162 0.2635
Ba 0.8162 0.2635 0.6661
Ba 0.2635 0.6661 0.8162
Os 0.2471 0.2471 0.2471
Os 0.7529 0.7529 0.7529
N 0.2489 0.0251 0.4728
N 0.0251 0.4728 0.2489
N 0.4728 0.2489 0.0251
N 0.7511 0.9749 0.5272
N 0.9749 0.5272 0.7511
N 0.5272 0.7511 0.9749
O 0.5000 0.5000 0.5000

***

# BiF3

A relaxed structure of BiF3 (PBE, the Materials Project database).

Values from the calculation:
calculated total energy = -4.567 eV per atom
formation energy = -2506 meV/atom
crystal system = cubic
space-group type = No. 225

abc: 4.0765 4.0765 4.0765
angles: 60.00 60.00 60.00
Fractional positions:
Bi 0.0000 0.0000 0.0000
F 0.2500 0.2500 0.2500
F 0.5000 0.5000 0.5000
F 0.7500 0.7500 0.7500

***

# Sr3Zr3N5

A relaxed structure of Sr3Zr3N5 (PBE, the Materials Project database).

Values from the calculation:
calculated total energy = -7.670 eV per atom
formation energy = -1253 meV/atom
crystal system = triclinic
space-group type = No. 2

abc: 6.0812 8.4014 9.1283
angles: 110.21 101.64 103.02
Fractional positions:
Sr 0.7456 0.4402 0.5970
Sr 0.2544 0.5598 0.4030
Sr 0.6474 0.8056 0.9022
Sr 0.3526 0.1944 0.0978
Sr 0.7278 0.6838 0.2501
Sr 0.2722 0.3162 0.7499
Zr 0.8772 0.3139 0.9916
Zr 0.1228 0.6861 0.0084
Zr 0.6715 0.9859 0.6379
Zr 0.3285 0.0141 0.3621
Zr 0.1081 0.8654 0.7006
Zr 0.8919 0.1346 0.2994
N 0.9981 0.0918 0.8415
N 0.0019 0.9082 0.1585
N 0.7328 0.7357 0.5589
N 0.2672 0.2643 0.4411
N 0.7645 0.5038 0.9157
N 0.2355 0.4962 0.0843
N 0.2763 0.8956 0.5250
N 0.7237 0.1044 0.4750
N 0.1821 0.6708 0.7825
N 0.8179 0.3292 0.2175